# ZrCo, relaxed, DFT PBE
# Volume = 33 Å³/cell
data_ZrCo
_chemical_formula_sum 'Zr1 Co1'
_space_group_name_H-M_alt 'P m -3 m'
_space_group_IT_number 221
_space_group_name_Hall '-P 4 2 3'
_cell_length_a 3.1944
_cell_length_b 3.1944
_cell_length_c 3.1944
_cell_angle_alpha 90.00
_cell_angle_beta 90.00
_cell_angle_gamma 90.00
loop_
_atom_site_label
_atom_site_type_symbol
_atom_site_fract_x
_atom_site_fract_y
_atom_site_fract_z
_atom_site_occupancy
Zr1 Zr 0.0000 0.0000 0.0000 1
Co1 Co 0.5000 0.5000 0.5000 1

---

# K2TiTlF6, relaxed, DFT PBE
# Size of the total moment = 1.0 μB per formula unit
# Volume = 791 Å³/cell
data_K2TiTlF6
_chemical_formula_sum 'K8 Ti4 Tl4 F24'
_space_group_name_H-M_alt 'F m -3 m'
_space_group_IT_number 225
_space_group_name_Hall '-F 4 2 3'
_cell_length_a 9.2501
_cell_length_b 9.2501
_cell_length_c 9.2501
_cell_angle_alpha 90.00
_cell_angle_beta 90.00
_cell_angle_gamma 90.00
loop_
_atom_site_label
_atom_site_type_symbol
_atom_site_fract_x
_atom_site_fract_y
_atom_site_fract_z
_atom_site_occupancy
K1 K 0.2500 0.2500 0.2500 1
Ti1 Ti 0.0000 0.0000 0.0000 1
Tl1 Tl 0.0000 0.0000 0.5000 1
F1 F 0.0000 0.0000 0.2147 1

---

# Na2TmAgCl6, relaxed, DFT PBE
# Size of the total moment = 0.0 μB per formula unit
# Volume = 1179 Å³/cell
data_Na2TmAgCl6
_chemical_formula_sum 'Na8 Tm4 Ag4 Cl24'
_space_group_name_H-M_alt 'F m -3 m'
_space_group_IT_number 225
_space_group_name_Hall '-F 4 2 3'
_cell_length_a 10.5654
_cell_length_b 10.5654
_cell_length_c 10.5654
_cell_angle_alpha 90.00
_cell_angle_beta 90.00
_cell_angle_gamma 90.00
loop_
_atom_site_label
_atom_site_type_symbol
_atom_site_fract_x
_atom_site_fract_y
_atom_site_fract_z
_atom_site_occupancy
Na1 Na 0.2500 0.2500 0.2500 1
Tm1 Tm 0.0000 0.0000 0.0000 1
Ag1 Ag 0.0000 0.0000 0.5000 1
Cl1 Cl 0.0000 0.0000 0.2444 1

---

# Zn3H10C10O13, relaxed, DFT PBE
# Size of the total moment = 0.0 μB per formula unit
# Volume = 1799 Å³/cell
data_Zn3H10C10O13
_chemical_formula_sum 'Zn12 H40 C40 O52'
_space_group_name_H-M_alt 'P 1 21/c 1'
_space_group_IT_number 14
_cell_length_a 11.5771
_cell_length_b 10.1574
_cell_length_c 19.0097
_cell_angle_alpha 90.00
_cell_angle_beta 126.41
_cell_angle_gamma 90.00
loop_
_space_group_symop_operation_xyz
'x,y,z'
'-x,-y,-z'
'-x,y+1/2,-z+1/2'
'x,-y+1/2,z+1/2'
loop_
_atom_site_label
_atom_site_type_symbol
_atom_site_fract_x
_atom_site_fract_y
_atom_site_fract_z
_atom_site_occupancy
Zn1 Zn 0.0000 0.0000 0.0000 1
Zn2 Zn 0.0691 0.1126 0.3074 1
Zn3 Zn 0.1230 0.0784 0.8682 1
Zn4 Zn 0.5000 0.0000 0.0000 1
H1 H 0.0006 0.2443 0.6344 1
H2 H 0.0068 0.1116 0.4501 1
H3 H 0.2510 0.7005 0.2713 1
H4 H 0.2603 0.6635 0.5701 1
H5 H 0.2945 0.0399 0.2651 1
H6 H 0.3255 0.5623 0.0438 1
H7 H 0.3603 0.2092 0.1603 1
H8 H 0.3992 0.6319 0.2068 1
H9 H 0.4231 0.1037 0.7850 1
H10 H 0.4845 0.2030 0.4928 1
C1 C 0.0040 0.1660 0.6760 1
C2 C 0.0196 0.2177 0.4435 1
C3 C 0.1860 0.0195 0.2048 1
C4 C 0.2696 0.6279 0.3206 1
C5 C 0.2713 0.5997 0.5274 1
C6 C 0.3477 0.5049 0.0986 1
C7 C 0.3671 0.1845 0.6613 1
C8 C 0.3690 0.2233 0.4437 1
C9 C 0.3833 0.5343 0.1793 1
C10 C 0.3960 0.0890 0.7202 1
O1 O 0.0119 0.2039 0.9916 1
O2 O 0.0402 0.2475 0.3858 1
O3 O 0.0468 0.5554 0.8591 1
O4 O 0.0604 0.1969 0.7557 1
O5 O 0.0851 0.0105 0.2144 1
O6 O 0.1559 0.5804 0.3080 1
O7 O 0.1626 0.5248 0.4755 1
O8 O 0.1728 0.0071 0.1348 1
O9 O 0.2888 0.1275 0.4006 1
O10 O 0.3323 0.1551 0.9370 1
O11 O 0.3374 0.1288 0.5865 1
O12 O 0.3848 0.6081 0.5334 1
O13 O 0.3973 0.6013 0.3818 1

---

# K2CdAu4S4, relaxed, DFT PBE
# Size of the total moment = 0.0 μB per formula unit
# Volume = 1150 Å³/cell
data_K2CdAu4S4
_chemical_formula_sum 'K8 Cd4 Au16 S16'
_space_group_name_H-M_alt 'I b a m'
_space_group_IT_number 72
_space_group_name_Hall '-I 2 2c'
_cell_length_a 7.1292
_cell_length_b 10.8200
_cell_length_c 14.9064
_cell_angle_alpha 90.00
_cell_angle_beta 90.00
_cell_angle_gamma 90.00
loop_
_atom_site_label
_atom_site_type_symbol
_atom_site_fract_x
_atom_site_fract_y
_atom_site_fract_z
_atom_site_occupancy
K1 K 0.1614 0.1517 0.0000 1
Cd1 Cd 0.0000 0.0000 0.2500 1
Au1 Au 0.0000 0.5000 0.1374 1
Au2 Au 0.2500 0.2500 0.2500 1
S1 S 0.2196 0.1115 0.3694 1

---

# K4ZnBi2, relaxed, DFT PBE
# Volume = 1196 Å³/cell
data_K4ZnBi2
_chemical_formula_sum 'K16 Zn4 Bi8'
_space_group_name_H-M_alt 'C 2 2 21'
_space_group_IT_number 20
_cell_length_a 6.2719
_cell_length_b 10.7088
_cell_length_c 17.8128
_cell_angle_alpha 90.00
_cell_angle_beta 90.00
_cell_angle_gamma 90.00
loop_
_space_group_symop_operation_xyz
'x,y,z'
'-x,-y,z+1/2'
'x,-y,-z'
'-x,y,-z+1/2'
'x+1/2,y+1/2,z'
'-x+1/2,-y+1/2,z+1/2'
'x+1/2,-y+1/2,-z'
'-x+1/2,y+1/2,-z+1/2'
loop_
_atom_site_label
_atom_site_type_symbol
_atom_site_fract_x
_atom_site_fract_y
_atom_site_fract_z
_atom_site_occupancy
K1 K 0.0000 0.0061 0.2500 1
K2 K 0.0582 0.3361 0.8960 1
K3 K 0.0630 0.0000 0.0000 1
Zn1 Zn 0.0000 0.3362 0.2500 1
Bi1 Bi 0.0668 0.3296 0.1064 1

---

no.,mass density (g/cm3),formation energy (eV/atom)
1,7.650,-0.29
2,3.730,-3.04
3,3.016,-1.95
4,1.973,-1.04
5,6.393,-0.76
6,3.552,-0.35